(1)
Computed, not measured: CsErO2 after structural relaxation at the PBE level of DFT.

```
data_CsErO2
_chemical_formula_sum 'Cs2 Er2 O4'
_cell_length_a 3.520
_cell_length_b 3.520
_cell_length_c 13.698
_cell_angle_alpha 90.00
_cell_angle_beta 90.00
_cell_angle_gamma 120.00
_symmetry_space_group_name_H-M 'P 1'
_symmetry_Int_Tables_number 1
loop_
_symmetry_equiv_pos_as_xyz
'x,y,z'
loop_
_atom_site_label
_atom_site_type_symbol
_atom_site_fract_x
_atom_site_fract_y
_atom_site_fract_z
Er1 Er 0.000 0.000 0.500
Er2 Er 0.000 0.000 0.000
O1 O 0.333 0.667 0.082
O2 O 0.667 0.333 0.582
O3 O 0.333 0.667 0.418
O4 O 0.667 0.333 0.918
Cs1 Cs 0.333 0.667 0.750
Cs2 Cs 0.667 0.333 0.250
```

As for the formation energy: -2.99 eV per atom.


(2)
Computed, not measured: CsS2O6F2 after structural relaxation at the PBE level of DFT.

```
data_CsS2O6F2
_chemical_formula_sum 'Cs2 S4 O12 F4'
_cell_length_a 7.996
_cell_length_b 7.996
_cell_length_c 8.674
_cell_angle_alpha 98.96
_cell_angle_beta 107.17
_cell_angle_gamma 120.72
_symmetry_space_group_name_H-M 'P 1'
_symmetry_Int_Tables_number 1
loop_
_symmetry_equiv_pos_as_xyz
'x,y,z'
loop_
_atom_site_label
_atom_site_type_symbol
_atom_site_fract_x
_atom_site_fract_y
_atom_site_fract_z
S1 S 0.207 0.328 0.724
S2 S 0.396 0.017 0.224
S3 S 0.604 0.983 0.776
S4 S 0.793 0.672 0.276
F1 F 0.087 0.084 0.698
F2 F 0.913 0.916 0.302
F3 F 0.614 0.111 0.198
F4 F 0.386 0.889 0.802
Cs1 Cs 0.145 0.395 0.250
Cs2 Cs 0.855 0.605 0.750
O1 O 0.291 0.099 0.131
O2 O 0.303 0.435 0.913
O3 O 0.709 0.901 0.869
O4 O 0.032 0.339 0.631
O5 O 0.697 0.565 0.087
O6 O 0.359 0.368 0.651
O7 O 0.283 0.792 0.151
O8 O 0.478 0.110 0.413
O9 O 0.968 0.661 0.369
O10 O 0.641 0.632 0.349
O11 O 0.717 0.208 0.849
O12 O 0.522 0.890 0.587
```

As for the formation energy: -1.97 eV per atom. The magnetic moment is 1.00 μB per formula unit.


(3)
Computed, not measured: Ba3In2P4O16 after structural relaxation at the PBE level of DFT.

```
data_Ba3In2P4O16
_chemical_formula_sum 'Ba6 In4 P8 O32'
_cell_length_a 9.802
_cell_length_b 9.075
_cell_length_c 9.302
_cell_angle_alpha 64.81
_cell_angle_beta 90.00
_cell_angle_gamma 90.00
_symmetry_space_group_name_H-M 'P 1'
_symmetry_Int_Tables_number 1
loop_
_symmetry_equiv_pos_as_xyz
'x,y,z'
loop_
_atom_site_label
_atom_site_type_symbol
_atom_site_fract_x
_atom_site_fract_y
_atom_site_fract_z
O1 O 0.993 0.058 0.262
O2 O 0.032 0.665 0.234
O3 O 0.731 0.087 0.890
O4 O 0.713 0.922 0.732
O5 O 0.716 0.566 0.791
O6 O 0.590 0.820 0.004
O7 O 0.090 0.180 0.496
O8 O 0.055 0.595 0.785
O9 O 0.410 0.180 0.996
O10 O 0.007 0.942 0.738
O11 O 0.216 0.434 0.709
O12 O 0.468 0.665 0.734
O13 O 0.968 0.335 0.766
O14 O 0.121 0.308 0.991
O15 O 0.532 0.335 0.266
O16 O 0.445 0.595 0.285
O17 O 0.269 0.913 0.110
O18 O 0.231 0.913 0.610
O19 O 0.287 0.078 0.268
O20 O 0.507 0.058 0.762
O21 O 0.769 0.087 0.390
O22 O 0.787 0.922 0.232
O23 O 0.910 0.820 0.504
O24 O 0.379 0.308 0.491
O25 O 0.621 0.692 0.509
O26 O 0.284 0.434 0.209
O27 O 0.213 0.078 0.768
O28 O 0.784 0.566 0.291
O29 O 0.493 0.942 0.238
O30 O 0.945 0.405 0.215
O31 O 0.879 0.692 0.009
O32 O 0.555 0.405 0.715
P1 P 0.086 0.416 0.815
P2 P 0.414 0.416 0.315
P3 P 0.914 0.584 0.185
P4 P 0.586 0.584 0.685
P5 P 0.861 0.970 0.355
P6 P 0.361 0.030 0.145
P7 P 0.639 0.970 0.855
P8 P 0.139 0.030 0.645
In1 In 0.127 0.258 0.242
In2 In 0.627 0.742 0.258
In3 In 0.373 0.258 0.742
In4 In 0.873 0.742 0.758
Ba1 Ba 0.000 0.000 0.000
Ba2 Ba 0.824 0.272 0.554
Ba3 Ba 0.324 0.728 0.946
Ba4 Ba 0.676 0.272 0.054
Ba5 Ba 0.176 0.728 0.446
Ba6 Ba 0.500 0.000 0.500
```

As for the formation energy: -2.93 eV per atom. The magnetic moment is 0.00 μB per formula unit.


(4)
Computed, not measured: SmTiFe11N after structural relaxation at the PBE level of DFT.

```
data_SmTiFe11N
_chemical_formula_sum 'Sm1 Ti1 Fe11 N1'
_cell_length_a 4.868
_cell_length_b 6.525
_cell_length_c 6.525
_cell_angle_alpha 97.61
_cell_angle_beta 111.90
_cell_angle_gamma 68.10
_symmetry_space_group_name_H-M 'P 1'
_symmetry_Int_Tables_number 1
loop_
_symmetry_equiv_pos_as_xyz
'x,y,z'
loop_
_atom_site_label
_atom_site_type_symbol
_atom_site_fract_x
_atom_site_fract_y
_atom_site_fract_z
Fe1 Fe 0.500 0.502 0.003
Fe2 Fe 0.358 0.642 0.358
Fe3 Fe 0.277 0.223 0.777
Fe4 Fe 0.001 0.502 0.003
Fe5 Fe 0.001 0.997 0.498
Fe6 Fe 0.000 0.640 0.640
Fe7 Fe 0.497 0.226 0.220
Fe8 Fe 0.497 0.780 0.774
Fe9 Fe 0.500 0.997 0.498
Fe10 Fe 0.000 0.360 0.360
Fe11 Fe 0.726 0.774 0.226
N1 N 0.501 0.999 0.001
Sm1 Sm 0.007 0.993 0.007
Ti1 Ti 0.634 0.366 0.634
```

As for the formation energy: -0.18 eV per atom. The magnetic moment is 23.65 μB per formula unit.


(5)
Computed, not measured: Ge2Sb2Te5 after structural relaxation at the PBE level of DFT.

```
data_Ge2Sb2Te5
_chemical_formula_sum 'Ge2 Sb2 Te5'
_cell_length_a 4.265
_cell_length_b 4.265
_cell_length_c 17.999
_cell_angle_alpha 90.00
_cell_angle_beta 90.00
_cell_angle_gamma 120.00
_symmetry_space_group_name_H-M 'P 1'
_symmetry_Int_Tables_number 1
loop_
_symmetry_equiv_pos_as_xyz
'x,y,z'
loop_
_atom_site_label
_atom_site_type_symbol
_atom_site_fract_x
_atom_site_fract_y
_atom_site_fract_z
Ge1 Ge 0.000 0.000 0.332
Ge2 Ge 0.000 0.000 0.668
Te1 Te 0.667 0.333 0.210
Te2 Te 0.333 0.667 0.411
Te3 Te 0.333 0.667 0.790
Te4 Te 0.667 0.333 0.589
Te5 Te 0.000 0.000 0.000
Sb1 Sb 0.667 0.333 0.887
Sb2 Sb 0.333 0.667 0.113
```

As for the formation energy: -0.32 eV per atom. The magnetic moment is 0.00 μB per formula unit.


(6)
Computed, not measured: Nb2PdS6 after structural relaxation at the PBE level of DFT.

```
data_Nb2PdS6
_chemical_formula_sum 'Nb2 Pd1 S6'
_cell_length_a 3.308
_cell_length_b 6.433
_cell_length_c 9.346
_cell_angle_alpha 78.32
_cell_angle_beta 79.81
_cell_angle_gamma 75.10
_symmetry_space_group_name_H-M 'P 1'
_symmetry_Int_Tables_number 1
loop_
_symmetry_equiv_pos_as_xyz
'x,y,z'
loop_
_atom_site_label
_atom_site_type_symbol
_atom_site_fract_x
_atom_site_fract_y
_atom_site_fract_z
S1 S 0.015 0.210 0.761
S2 S 0.334 0.792 0.540
S3 S 0.213 0.703 0.871
S4 S 0.787 0.297 0.129
S5 S 0.985 0.790 0.239
S6 S 0.666 0.208 0.460
Nb1 Nb 0.683 0.927 0.708
Nb2 Nb 0.317 0.073 0.292
Pd1 Pd 0.000 0.000 0.000
```

As for the formation energy: -1.12 eV per atom.


(7)
Computed, not measured: In7Pd3 after structural relaxation at the PBE level of DFT.

```
data_In7Pd3
_chemical_formula_sum 'In14 Pd6'
_cell_length_a 8.332
_cell_length_b 8.332
_cell_length_c 8.332
_cell_angle_alpha 109.47
_cell_angle_beta 109.47
_cell_angle_gamma 109.47
_symmetry_space_group_name_H-M 'P 1'
_symmetry_Int_Tables_number 1
loop_
_symmetry_equiv_pos_as_xyz
'x,y,z'
loop_
_atom_site_label
_atom_site_type_symbol
_atom_site_fract_x
_atom_site_fract_y
_atom_site_fract_z
In1 In 0.675 0.000 0.000
In2 In 0.500 0.250 0.750
In3 In 0.250 0.500 0.750
In4 In 0.325 0.000 0.000
In5 In 0.750 0.250 0.500
In6 In 0.000 0.000 0.675
In7 In 0.000 0.325 0.000
In8 In 0.325 0.325 0.325
In9 In 0.250 0.750 0.500
In10 In 0.000 0.000 0.325
In11 In 0.675 0.675 0.675
In12 In 0.000 0.675 0.000
In13 In 0.750 0.500 0.250
In14 In 0.500 0.750 0.250
Pd1 Pd 0.347 0.000 0.347
Pd2 Pd 0.653 0.000 0.653
Pd3 Pd 0.000 0.653 0.653
Pd4 Pd 0.347 0.347 0.000
Pd5 Pd 0.653 0.653 0.000
Pd6 Pd 0.000 0.347 0.347
```

As for the formation energy: -0.40 eV per atom.


(8)
Computed, not measured: HoNbOs2 after structural relaxation at the PBE level of DFT.

```
data_HoNbOs2
_chemical_formula_sum 'Ho1 Nb1 Os2'
_cell_length_a 4.642
_cell_length_b 4.642
_cell_length_c 4.642
_cell_angle_alpha 60.00
_cell_angle_beta 60.00
_cell_angle_gamma 60.00
_symmetry_space_group_name_H-M 'P 1'
_symmetry_Int_Tables_number 1
loop_
_symmetry_equiv_pos_as_xyz
'x,y,z'
loop_
_atom_site_label
_atom_site_type_symbol
_atom_site_fract_x
_atom_site_fract_y
_atom_site_fract_z
Os1 Os 0.250 0.250 0.250
Os2 Os 0.750 0.750 0.750
Ho1 Ho 0.500 0.500 0.500
Nb1 Nb 0.000 0.000 0.000
```

As for the formation energy: -0.17 eV per atom. The magnetic moment is 0.00 μB per formula unit.


(9)
Computed, not measured: Ce3TlC after structural relaxation at the PBE level of DFT.

```
data_Ce3TlC
_chemical_formula_sum 'Ce3 Tl1 C1'
_cell_length_a 5.862
_cell_length_b 5.862
_cell_length_c 5.862
_cell_angle_alpha 90.00
_cell_angle_beta 90.00
_cell_angle_gamma 90.00
_symmetry_space_group_name_H-M 'P 1'
_symmetry_Int_Tables_number 1
loop_
_symmetry_equiv_pos_as_xyz
'x,y,z'
loop_
_atom_site_label
_atom_site_type_symbol
_atom_site_fract_x
_atom_site_fract_y
_atom_site_fract_z
C1 C 0.000 0.000 0.000
Tl1 Tl 0.500 0.500 0.500
Ce1 Ce 0.500 0.500 0.000
Ce2 Ce 0.500 0.000 0.500
Ce3 Ce 0.000 0.500 0.500
```

As for the formation energy: 1.81 eV per atom. The magnetic moment is 2.94 μB per formula unit.


(10)
Computed, not measured: Na8Bi5O14 after structural relaxation at the PBE level of DFT.

```
data_Na8Bi5O14
_chemical_formula_sum 'Na16 Bi10 O28'
_cell_length_a 9.162
_cell_length_b 9.210
_cell_length_c 11.557
_cell_angle_alpha 105.28
_cell_angle_beta 100.77
_cell_angle_gamma 112.37
_symmetry_space_group_name_H-M 'P 1'
_symmetry_Int_Tables_number 1
loop_
_symmetry_equiv_pos_as_xyz
'x,y,z'
loop_
_atom_site_label
_atom_site_type_symbol
_atom_site_fract_x
_atom_site_fract_y
_atom_site_fract_z
Na1 Na 0.693 0.623 0.829
Na2 Na 0.888 0.533 0.624
Na3 Na 0.698 0.410 0.280
Na4 Na 0.619 0.985 0.894
Na5 Na 0.570 0.147 0.430
Na6 Na 0.194 0.674 0.189
Na7 Na 0.112 0.467 0.376
Na8 Na 0.307 0.377 0.171
Na9 Na 0.430 0.853 0.570
Na10 Na 0.000 0.000 0.000
Na11 Na 0.806 0.326 0.811
Na12 Na 0.550 0.321 0.983
Na13 Na 0.381 0.015 0.106
Na14 Na 0.500 0.500 0.500
Na15 Na 0.302 0.590 0.720
Na16 Na 0.450 0.679 0.017
Bi1 Bi 0.963 0.190 0.532
Bi2 Bi 0.227 0.919 0.798
Bi3 Bi 0.603 0.768 0.342
Bi4 Bi 0.397 0.232 0.658
Bi5 Bi 0.151 0.289 0.860
Bi6 Bi 0.037 0.810 0.468
Bi7 Bi 0.849 0.711 0.140
Bi8 Bi 0.190 0.111 0.319
Bi9 Bi 0.773 0.081 0.202
Bi10 Bi 0.810 0.889 0.681
O1 O 0.893 0.116 0.847
O2 O 0.368 0.627 0.352
O3 O 0.202 0.474 0.025
O4 O 0.710 0.995 0.557
O5 O 0.463 0.086 0.769
O6 O 0.616 0.578 0.168
O7 O 0.346 0.821 0.902
O8 O 0.798 0.526 0.975
O9 O 0.055 0.204 0.211
O10 O 0.747 0.847 0.046
O11 O 0.384 0.422 0.832
O12 O 0.253 0.153 0.954
O13 O 0.418 0.247 0.300
O14 O 0.537 0.914 0.231
O15 O 0.107 0.884 0.153
O16 O 0.290 0.005 0.443
O17 O 0.654 0.179 0.098
O18 O 0.929 0.941 0.321
O19 O 0.964 0.622 0.279
O20 O 0.841 0.288 0.406
O21 O 0.582 0.753 0.700
O22 O 0.945 0.796 0.789
O23 O 0.036 0.378 0.721
O24 O 0.780 0.692 0.508
O25 O 0.071 0.059 0.679
O26 O 0.159 0.712 0.594
O27 O 0.220 0.308 0.492
O28 O 0.632 0.373 0.648
```

As for the formation energy: -1.65 eV per atom. The magnetic moment is 1.00 μB per formula unit.


(11)
Computed, not measured: Nd4Ni after structural relaxation at the PBE level of DFT.

```
data_Nd4Ni
_chemical_formula_sum 'Nd8 Ni2'
_cell_length_a 7.780
_cell_length_b 7.780
_cell_length_c 7.780
_cell_angle_alpha 60.00
_cell_angle_beta 60.00
_cell_angle_gamma 60.00
_symmetry_space_group_name_H-M 'P 1'
_symmetry_Int_Tables_number 1
loop_
_symmetry_equiv_pos_as_xyz
'x,y,z'
loop_
_atom_site_label
_atom_site_type_symbol
_atom_site_fract_x
_atom_site_fract_y
_atom_site_fract_z
Nd1 Nd 0.864 0.864 0.864
Nd2 Nd 0.864 0.409 0.864
Nd3 Nd 0.864 0.864 0.409
Nd4 Nd 0.386 0.386 0.841
Nd5 Nd 0.841 0.386 0.386
Nd6 Nd 0.409 0.864 0.864
Nd7 Nd 0.386 0.841 0.386
Nd8 Nd 0.386 0.386 0.386
Ni1 Ni 0.000 0.000 0.000
Ni2 Ni 0.250 0.250 0.250
```

As for the formation energy: 0.22 eV per atom. The magnetic moment is 0.03 μB per formula unit.


(12)
Computed, not measured: Bi5IO7 after structural relaxation at the PBE level of DFT.

```
data_Bi5IO7
_chemical_formula_sum 'Bi10 I2 O14'
_cell_length_a 9.706
_cell_length_b 9.706
_cell_length_c 13.493
_cell_angle_alpha 73.88
_cell_angle_beta 73.88
_cell_angle_gamma 25.38
_symmetry_space_group_name_H-M 'P 1'
_symmetry_Int_Tables_number 1
loop_
_symmetry_equiv_pos_as_xyz
'x,y,z'
loop_
_atom_site_label
_atom_site_type_symbol
_atom_site_fract_x
_atom_site_fract_y
_atom_site_fract_z
Bi1 Bi 0.795 0.795 0.370
Bi2 Bi 0.205 0.205 0.630
Bi3 Bi 0.469 0.469 0.365
Bi4 Bi 0.605 0.605 0.870
Bi5 Bi 0.531 0.531 0.635
Bi6 Bi 0.739 0.739 0.135
Bi7 Bi 0.261 0.261 0.865
Bi8 Bi 0.877 0.877 0.589
Bi9 Bi 0.395 0.395 0.130
Bi10 Bi 0.123 0.123 0.411
O1 O 0.373 0.373 0.299
O2 O 0.150 0.150 0.832
O3 O 0.585 0.585 0.471
O4 O 0.698 0.698 0.298
O5 O 0.415 0.415 0.529
O6 O 0.284 0.284 0.115
O7 O 0.627 0.627 0.701
O8 O 0.228 0.228 0.441
O9 O 0.302 0.302 0.702
O10 O 0.930 0.930 0.413
O11 O 0.716 0.716 0.885
O12 O 0.772 0.772 0.559
O13 O 0.850 0.850 0.168
O14 O 0.070 0.070 0.587
I1 I 0.929 0.929 0.871
I2 I 0.071 0.071 0.129
```

As for the formation energy: -1.55 eV per atom.


(13)
Computed, not measured: SiO2 after structural relaxation at the PBE level of DFT.

```
data_SiO2
_chemical_formula_sum 'Si32 O64'
_cell_length_a 15.220
_cell_length_b 15.220
_cell_length_c 8.609
_cell_angle_alpha 90.00
_cell_angle_beta 90.00
_cell_angle_gamma 101.32
_symmetry_space_group_name_H-M 'P 1'
_symmetry_Int_Tables_number 1
loop_
_symmetry_equiv_pos_as_xyz
'x,y,z'
loop_
_atom_site_label
_atom_site_type_symbol
_atom_site_fract_x
_atom_site_fract_y
_atom_site_fract_z
Si1 Si 0.397 0.069 0.064
Si2 Si 0.793 0.922 0.063
Si3 Si 0.397 0.069 0.436
Si4 Si 0.931 0.603 0.436
Si5 Si 0.756 0.244 0.067
Si6 Si 0.069 0.397 0.564
Si7 Si 0.118 0.882 0.064
Si8 Si 0.207 0.078 0.563
Si9 Si 0.603 0.931 0.564
Si10 Si 0.922 0.793 0.937
Si11 Si 0.869 0.414 0.565
Si12 Si 0.078 0.207 0.437
Si13 Si 0.414 0.869 0.435
Si14 Si 0.131 0.586 0.435
Si15 Si 0.118 0.882 0.436
Si16 Si 0.131 0.586 0.065
Si17 Si 0.078 0.207 0.063
Si18 Si 0.756 0.244 0.433
Si19 Si 0.922 0.793 0.563
Si20 Si 0.207 0.078 0.937
Si21 Si 0.931 0.603 0.064
Si22 Si 0.586 0.131 0.565
Si23 Si 0.414 0.869 0.065
Si24 Si 0.244 0.756 0.567
Si25 Si 0.793 0.922 0.437
Si26 Si 0.603 0.931 0.936
Si27 Si 0.069 0.397 0.936
Si28 Si 0.244 0.756 0.933
Si29 Si 0.869 0.414 0.935
Si30 Si 0.586 0.131 0.935
Si31 Si 0.882 0.118 0.936
Si32 Si 0.882 0.118 0.564
O1 O 0.411 0.078 0.250
O2 O 0.085 0.216 0.250
O3 O 0.022 0.842 0.515
O4 O 0.788 0.350 0.027
O5 O 0.868 0.518 0.522
O6 O 0.306 0.103 0.014
O7 O 0.389 0.964 0.011
O8 O 0.694 0.897 0.986
O9 O 0.158 0.978 0.515
O10 O 0.650 0.212 0.027
O11 O 0.036 0.611 0.011
O12 O 0.186 0.814 0.038
O13 O 0.842 0.022 0.015
O14 O 0.389 0.964 0.489
O15 O 0.350 0.788 0.527
O16 O 0.103 0.306 0.514
O17 O 0.216 0.085 0.750
O18 O 0.350 0.788 0.973
O19 O 0.694 0.897 0.514
O20 O 0.306 0.103 0.486
O21 O 0.589 0.922 0.750
O22 O 0.611 0.036 0.511
O23 O 0.964 0.389 0.511
O24 O 0.915 0.784 0.750
O25 O 0.922 0.589 0.250
O26 O 0.078 0.411 0.750
O27 O 0.518 0.868 0.478
O28 O 0.132 0.482 0.022
O29 O 0.212 0.650 0.973
O30 O 0.150 0.150 0.500
O31 O 0.814 0.186 0.962
O32 O 0.146 0.601 0.250
O33 O 0.036 0.611 0.489
O34 O 0.978 0.158 0.485
O35 O 0.399 0.854 0.250
O36 O 0.978 0.158 0.015
O37 O 0.897 0.694 0.014
O38 O 0.650 0.212 0.473
O39 O 0.773 0.227 0.250
O40 O 0.788 0.350 0.473
O41 O 0.854 0.399 0.750
O42 O 0.150 0.150 0.000
O43 O 0.482 0.132 0.978
O44 O 0.601 0.146 0.750
O45 O 0.842 0.022 0.485
O46 O 0.132 0.482 0.478
O47 O 0.895 0.105 0.750
O48 O 0.227 0.773 0.750
O49 O 0.158 0.978 0.985
O50 O 0.897 0.694 0.486
O51 O 0.850 0.850 0.500
O52 O 0.518 0.868 0.022
O53 O 0.482 0.132 0.522
O54 O 0.186 0.814 0.462
O55 O 0.105 0.895 0.250
O56 O 0.784 0.915 0.250
O57 O 0.212 0.650 0.527
O58 O 0.964 0.389 0.989
O59 O 0.850 0.850 0.000
O60 O 0.868 0.518 0.978
O61 O 0.022 0.842 0.985
O62 O 0.814 0.186 0.538
O63 O 0.611 0.036 0.989
O64 O 0.103 0.306 0.986
```

As for the formation energy: -3.26 eV per atom. The magnetic moment is 0.00 μB per formula unit.